(1)
Material: TaCr3Cu2S8
Method: DFT, GGA-PBE
State: relaxed

The value obtained for the size of the total moment is 9.994 Bohr magnetons per cell. The energy of formation from the pure elements comes out at -0.718 eV per atom. The final energy comes out at -6.295 eV/atom.

a = 7.688 Å, b = 5.846 Å, c = 12.071 Å
α = 90.00°, β = 90.00°, γ = 90.00°
Space group Pmn2_1 (No. 31)
Symmetry-distinct sites (fractional):
1 Ta 0.000 0.225 0.000 (multiplicity 2)
2 Cr 0.000 0.127 0.229 (multiplicity 2)
3 Cr 0.000 0.569 0.833 (multiplicity 2)
4 Cr 0.000 0.734 0.037 (multiplicity 2)
5 Cu 0.000 0.107 0.573 (multiplicity 2)
6 Cu 0.000 0.599 0.373 (multiplicity 2)
7 S 0.000 0.441 0.673 (multiplicity 2)
8 S 0.000 0.490 0.190 (multiplicity 2)
9 S 0.000 0.945 0.862 (multiplicity 2)
10 S 0.000 0.982 0.393 (multiplicity 2)
11 S 0.207 0.991 0.115 (multiplicity 4)
12 S 0.225 0.497 0.945 (multiplicity 4)


(2)
Material: TaCr3Cu2S8
Method: DFT, GGA-PBE
State: relaxed

The value obtained for the size of the total moment is 17.857 Bohr magnetons per cell. The energy of formation from the pure elements comes out at -0.906 eV per atom. The final energy comes out at -6.483 eV/atom.

a = 5.746 Å, b = 12.195 Å, c = 8.930 Å
α = 90.00°, β = 129.12°, γ = 90.00°
Space group P2_1/c (No. 14)
Symmetry-distinct sites (fractional):
1 Ta 0.000 0.000 0.000 (multiplicity 2)
2 Cr 0.229 0.248 0.738 (multiplicity 4)
3 Cr 0.500 0.000 0.500 (multiplicity 2)
4 Cu 0.148 0.585 0.256 (multiplicity 4)
5 S 0.009 0.586 0.757 (multiplicity 4)
6 S 0.252 0.671 0.516 (multiplicity 4)
7 S 0.274 0.170 0.500 (multiplicity 4)
8 S 0.476 0.087 0.252 (multiplicity 4)


(3)
Material: TaCr3Cu2S8
Method: DFT, GGA-PBE
State: relaxed

The value obtained for the size of the total moment is 9.001 Bohr magnetons per cell. The energy of formation from the pure elements comes out at -0.913 eV per atom. The final energy comes out at -6.491 eV/atom.

a = 5.793 Å, b = 6.921 Å, c = 5.968 Å
α = 90.00°, β = 91.76°, γ = 90.00°
Space group P2/m (No. 10)
Symmetry-distinct sites (fractional):
1 Ta 0.000 0.000 0.000 (multiplicity 1)
2 Cr 0.000 0.248 0.500 (multiplicity 2)
3 Cr 0.000 0.500 0.000 (multiplicity 1)
4 Cu 0.500 0.258 0.500 (multiplicity 2)
5 S 0.232 0.500 0.673 (multiplicity 2)
6 S 0.240 0.255 0.176 (multiplicity 4)
7 S 0.250 0.000 0.672 (multiplicity 2)


(4)
Material: TaCr3Cu2S8
Method: DFT, GGA-PBE
State: relaxed

The value obtained for the size of the total moment is 7.945 Bohr magnetons per cell. The energy of formation from the pure elements comes out at -0.902 eV per atom. The final energy comes out at -6.480 eV/atom.

a = 5.911 Å, b = 3.440 Å, c = 11.476 Å
α = 90.00°, β = 90.27°, γ = 90.00°
Space group Pm (No. 6)
Symmetry-distinct sites (fractional):
1 Ta 0.000 0.000 0.000 (multiplicity 1)
2 Cr 0.441 0.500 0.008 (multiplicity 1)
3 Cr 0.489 0.500 0.493 (multiplicity 1)
4 Cr 0.959 0.000 0.514 (multiplicity 1)
5 Cu 0.480 0.500 0.747 (multiplicity 1)
6 Cu 0.976 0.000 0.260 (multiplicity 1)
7 S 0.134 0.500 0.393 (multiplicity 1)
8 S 0.138 0.500 0.866 (multiplicity 1)
9 S 0.309 0.000 0.136 (multiplicity 1)
10 S 0.314 0.000 0.613 (multiplicity 1)
11 S 0.622 0.000 0.892 (multiplicity 1)
12 S 0.646 0.000 0.381 (multiplicity 1)
13 S 0.793 0.500 0.120 (multiplicity 1)
14 S 0.804 0.500 0.627 (multiplicity 1)


(5)
Material: TaCr3Cu2S8
Method: DFT, GGA-PBE
State: relaxed

The value obtained for the size of the total moment is 36.003 Bohr magnetons per cell. The energy of formation from the pure elements comes out at -0.745 eV per atom. The final energy comes out at -6.323 eV/atom.

a = 11.402 Å, b = 6.983 Å, c = 12.007 Å
α = 90.00°, β = 90.00°, γ = 90.00°
Space group Pca2_1 (No. 29)
Symmetry-distinct sites (fractional):
1 Ta 0.097 0.110 0.000 (multiplicity 4)
2 Cr 0.125 0.630 0.647 (multiplicity 4)
3 Cr 0.134 0.858 0.291 (multiplicity 4)
4 Cr 0.154 0.382 0.267 (multiplicity 4)
5 Cu 0.114 0.622 0.997 (multiplicity 4)
6 Cu 0.120 0.116 0.636 (multiplicity 4)
7 S 0.022 0.140 0.199 (multiplicity 4)
8 S 0.023 0.611 0.185 (multiplicity 4)
9 S 0.032 0.129 0.457 (multiplicity 4)
10 S 0.032 0.631 0.460 (multiplicity 4)
11 S 0.218 0.625 0.827 (multiplicity 4)
12 S 0.220 0.122 0.839 (multiplicity 4)
13 S 0.229 0.878 0.109 (multiplicity 4)
14 S 0.246 0.372 0.096 (multiplicity 4)


(6)
Material: TaCr3Cu2S8
Method: DFT, GGA-PBE
State: relaxed

The value obtained for the size of the total moment is 18.000 Bohr magnetons per cell. The energy of formation from the pure elements comes out at -0.766 eV per atom. The final energy comes out at -6.343 eV/atom.

a = 6.384 Å, b = 7.255 Å, c = 12.255 Å
α = 97.26°, β = 94.58°, γ = 90.70°
Space group P-1 (No. 2)
Symmetry-distinct sites (fractional):
1 Ta 0.143 0.203 0.301 (multiplicity 2)
2 Cr 0.244 0.381 0.000 (multiplicity 2)
3 Cr 0.366 0.061 0.713 (multiplicity 2)
4 Cr 0.367 0.545 0.708 (multiplicity 2)
5 Cu 0.119 0.697 0.286 (multiplicity 2)
6 Cu 0.263 0.869 0.003 (multiplicity 2)
7 S 0.099 0.648 0.098 (multiplicity 2)
8 S 0.108 0.154 0.111 (multiplicity 2)
9 S 0.191 0.282 0.636 (multiplicity 2)
10 S 0.193 0.787 0.632 (multiplicity 2)
11 S 0.314 0.479 0.371 (multiplicity 2)
12 S 0.317 0.955 0.366 (multiplicity 2)
13 S 0.386 0.103 0.898 (multiplicity 2)
14 S 0.411 0.594 0.895 (multiplicity 2)


(7)
Material: TaCr3Cu2S8
Method: DFT, GGA-PBE
State: relaxed

The value obtained for the size of the total moment is 17.337 Bohr magnetons per cell. The energy of formation from the pure elements comes out at -0.796 eV per atom. The final energy comes out at -6.373 eV/atom.

a = 3.400 Å, b = 12.598 Å, c = 11.081 Å
α = 90.00°, β = 90.00°, γ = 90.00°
Space group Pmc2_1 (No. 26)
Symmetry-distinct sites (fractional):
1 Ta 0.000 0.165 0.000 (multiplicity 2)
2 Cr 0.000 0.374 0.529 (multiplicity 2)
3 Cr 0.500 0.143 0.645 (multiplicity 2)
4 Cr 0.500 0.334 0.171 (multiplicity 2)
5 Cu 0.000 0.445 0.800 (multiplicity 2)
6 Cu 0.500 0.108 0.377 (multiplicity 2)
7 S 0.000 0.096 0.782 (multiplicity 2)
8 S 0.000 0.189 0.498 (multiplicity 2)
9 S 0.000 0.199 0.214 (multiplicity 2)
10 S 0.000 0.455 0.130 (multiplicity 2)
11 S 0.500 0.028 0.030 (multiplicity 2)
12 S 0.500 0.300 0.957 (multiplicity 2)
13 S 0.500 0.328 0.677 (multiplicity 2)
14 S 0.500 0.415 0.381 (multiplicity 2)


(8)
Material: TaCr3Cu2S8
Method: DFT, GGA-PBE
State: relaxed

The value obtained for the size of the total moment is 17.621 Bohr magnetons per cell. The energy of formation from the pure elements comes out at -0.786 eV per atom. The final energy comes out at -6.364 eV/atom.

a = 3.422 Å, b = 12.021 Å, c = 11.397 Å
α = 90.00°, β = 90.00°, γ = 90.00°
Space group Pmc2_1 (No. 26)
Symmetry-distinct sites (fractional):
1 Ta 0.000 0.040 0.000 (multiplicity 2)
2 Cr 0.000 0.330 0.535 (multiplicity 2)
3 Cr 0.500 0.183 0.761 (multiplicity 2)
4 Cr 0.500 0.455 0.293 (multiplicity 2)
5 Cu 0.000 0.194 0.277 (multiplicity 2)
6 Cu 0.500 0.338 0.028 (multiplicity 2)
7 S 0.000 0.130 0.619 (multiplicity 2)
8 S 0.000 0.228 0.895 (multiplicity 2)
9 S 0.000 0.365 0.176 (multiplicity 2)
10 S 0.000 0.499 0.931 (multiplicity 2)
11 S 0.500 0.007 0.353 (multiplicity 2)
12 S 0.500 0.137 0.114 (multiplicity 2)
13 S 0.500 0.281 0.399 (multiplicity 2)
14 S 0.500 0.368 0.677 (multiplicity 2)


(9)
Material: TaCr3Cu2S8
Method: DFT, GGA-PBE
State: relaxed

The value obtained for the size of the total moment is 9.001 Bohr magnetons per cell. The energy of formation from the pure elements comes out at -0.903 eV per atom. The final energy comes out at -6.480 eV/atom.

a = 5.867 Å, b = 6.988 Å, c = 5.948 Å
α = 90.00°, β = 93.30°, γ = 90.00°
Space group P2/m (No. 10)
Symmetry-distinct sites (fractional):
1 Ta 0.000 0.000 0.000 (multiplicity 1)
2 Cr 0.000 0.251 0.500 (multiplicity 2)
3 Cr 0.000 0.500 0.000 (multiplicity 1)
4 Cu 0.500 0.000 0.000 (multiplicity 1)
5 Cu 0.500 0.500 0.000 (multiplicity 1)
6 S 0.220 0.500 0.678 (multiplicity 2)
7 S 0.237 0.000 0.672 (multiplicity 2)
8 S 0.243 0.254 0.180 (multiplicity 4)


(10)
Material: TaCr3Cu2S8
Method: DFT, GGA-PBE
State: relaxed

The value obtained for the size of the total moment is 18.001 Bohr magnetons per cell. The energy of formation from the pure elements comes out at -0.767 eV per atom. The final energy comes out at -6.345 eV/atom.

a = 6.352 Å, b = 7.265 Å, c = 12.240 Å
α = 98.45°, β = 94.47°, γ = 90.30°
Space group P1 (No. 1)
Symmetry-distinct sites (fractional):
1 Ta 0.000 0.000 0.000 (multiplicity 1)
2 Ta 0.226 0.852 0.402 (multiplicity 1)
3 Cr 0.103 0.181 0.701 (multiplicity 1)
4 Cr 0.247 0.353 0.410 (multiplicity 1)
5 Cr 0.494 0.251 0.990 (multiplicity 1)
6 Cr 0.494 0.736 0.988 (multiplicity 1)
7 Cr 0.615 0.417 0.701 (multiplicity 1)
8 Cr 0.703 0.595 0.413 (multiplicity 1)
9 Cu 0.111 0.659 0.703 (multiplicity 1)
10 Cu 0.609 0.918 0.696 (multiplicity 1)
11 Cu 0.724 0.100 0.415 (multiplicity 1)
12 Cu 0.975 0.491 0.988 (multiplicity 1)
13 S 0.034 0.578 0.339 (multiplicity 1)
14 S 0.046 0.089 0.334 (multiplicity 1)
15 S 0.172 0.753 0.065 (multiplicity 1)
16 S 0.174 0.275 0.070 (multiplicity 1)
17 S 0.247 0.896 0.591 (multiplicity 1)
18 S 0.267 0.389 0.596 (multiplicity 1)
19 S 0.450 0.201 0.803 (multiplicity 1)
20 S 0.463 0.695 0.801 (multiplicity 1)
21 S 0.554 0.327 0.337 (multiplicity 1)
22 S 0.554 0.833 0.331 (multiplicity 1)
23 S 0.664 0.514 0.064 (multiplicity 1)
24 S 0.666 0.013 0.068 (multiplicity 1)
25 S 0.762 0.640 0.596 (multiplicity 1)
26 S 0.764 0.146 0.603 (multiplicity 1)
27 S 0.953 0.441 0.801 (multiplicity 1)
28 S 0.973 0.951 0.812 (multiplicity 1)


(11)
Material: TaCr3Cu2S8
Method: DFT, GGA-PBE
State: relaxed

The value obtained for the size of the total moment is 18.001 Bohr magnetons per cell. The energy of formation from the pure elements comes out at -0.924 eV per atom. The final energy comes out at -6.501 eV/atom.

a = 5.706 Å, b = 7.048 Å, c = 12.017 Å
α = 90.00°, β = 90.62°, γ = 90.00°
Space group P2_1/m (No. 11)
Symmetry-distinct sites (fractional):
1 Ta 0.021 0.250 0.249 (multiplicity 2)
2 Cr 0.000 0.000 0.500 (multiplicity 2)
3 Cr 0.481 0.250 0.744 (multiplicity 2)
4 Cr 0.500 0.000 0.000 (multiplicity 2)
5 Cu 0.090 0.250 0.907 (multiplicity 2)
6 Cu 0.392 0.250 0.407 (multiplicity 2)
7 S 0.217 0.750 0.582 (multiplicity 2)
8 S 0.236 0.250 0.582 (multiplicity 2)
9 S 0.239 0.512 0.331 (multiplicity 4)
10 S 0.258 0.250 0.083 (multiplicity 2)
11 S 0.265 0.507 0.831 (multiplicity 4)
12 S 0.299 0.750 0.087 (multiplicity 2)


(12)
Material: TaCr3Cu2S8
Method: DFT, GGA-PBE
State: relaxed

The value obtained for the size of the total moment is 14.000 Bohr magnetons per cell. The energy of formation from the pure elements comes out at -0.666 eV per atom. The final energy comes out at -6.243 eV/atom.

a = 6.489 Å, b = 7.121 Å, c = 12.444 Å
α = 90.00°, β = 98.75°, γ = 90.00°
Space group P2_1/m (No. 11)
Symmetry-distinct sites (fractional):
1 Ta 0.007 0.250 0.178 (multiplicity 2)
2 Cr 0.108 0.250 0.430 (multiplicity 2)
3 Cr 0.379 0.750 0.929 (multiplicity 2)
4 Cr 0.488 0.250 0.273 (multiplicity 2)
5 Cu 0.244 0.250 0.896 (multiplicity 2)
6 Cu 0.335 0.750 0.404 (multiplicity 2)
7 S 0.129 0.750 0.026 (multiplicity 2)
8 S 0.227 0.036 0.317 (multiplicity 4)
9 S 0.234 0.750 0.571 (multiplicity 2)
10 S 0.279 0.522 0.808 (multiplicity 4)
11 S 0.289 0.250 0.080 (multiplicity 2)
12 S 0.316 0.250 0.577 (multiplicity 2)


What is the final energy in the twelfth record?
-6.243 eV/atom


final energy of number 9 (TaCr3Cu2S8)?
-6.480 eV/atom


Number 1 is which compound?
TaCr3Cu2S8


Which value of energy of formation from the pure elements does entry 1 give?
-0.718 eV per atom